Computed, not measured: a relaxed structure of Ba5Sm8Mn4O21 at the PBE with a Hubbard U level of DFT.

The calculation puts the formation energy at -3.21 eV per atom. Its crystal system is tetragonal.

The space group is I4/m (No. 87) and the conventional cell measures 14.261, 14.261 and 5.891 Å, with angles of 90.00, 90.00 and 90.00 degrees. The asymmetric unit holds Ba at (0.000, 0.000, 0.000), Ba at (0.032, 0.637, 0.500), Sm at (0.089, 0.142, 0.500), Sm at (0.169, 0.753, 0.000), Mn at (0.040, 0.251, 0.000), O at (0.000, 0.000, 0.500), O at (0.034, 0.624, 0.000), O at (0.047, 0.822, 0.249) and O at (0.148, 0.258, 0.248).